Below is a geometry-optimized Ho5NiBi2 structure, with properties calculated at the PBE-GGA level. Values from VASP.

Summary:
Formation enthalpy at 0 K: -439 kJ/mol of formula units
Crystal system: orthorhombic
Raw total energy: -5.13 eV per atom
SG: Pnma

```
&SYSTEM
  ibrav = 0, nat = 32, ntyp = 3
/
ATOMIC_SPECIES
Ho 164.93 Ho.upf
Ni 58.69 Ni.upf
Bi 208.98 Bi.upf
CELL_PARAMETERS angstrom
7.9988 0.0000 0.0000
0.0000 8.8765 0.0000
0.0000 0.0000 12.3240
ATOMIC_POSITIONS crystal
Ho 0.8409 0.7500 0.7962
Ho 0.1591 0.2500 0.2038
Ho 0.3409 0.2500 0.7038
Ho 0.6591 0.7500 0.2962
Ho 0.3748 0.7500 0.6873
Ho 0.6252 0.2500 0.3127
Ho 0.8748 0.2500 0.8127
Ho 0.1252 0.7500 0.1873
Ho 0.9533 0.7500 0.5018
Ho 0.0467 0.2500 0.4982
Ho 0.4533 0.2500 0.9982
Ho 0.5467 0.7500 0.0018
Ho 0.6769 0.0404 0.5656
Ho 0.3231 0.9596 0.4344
Ho 0.1769 0.9596 0.9344
Ho 0.3231 0.5404 0.4344
Ho 0.8231 0.0404 0.0656
Ho 0.6769 0.4596 0.5656
Ho 0.8231 0.4596 0.0656
Ho 0.1769 0.5404 0.9344
Ni 0.5723 0.7500 0.5082
Ni 0.4277 0.2500 0.4918
Ni 0.0723 0.2500 0.9918
Ni 0.9277 0.7500 0.0082
Bi 0.5662 0.4932 0.8257
Bi 0.4338 0.5068 0.1743
Bi 0.0662 0.5068 0.6743
Bi 0.4338 0.9932 0.1743
Bi 0.9338 0.4932 0.3257
Bi 0.5662 0.0068 0.8257
Bi 0.9338 0.0068 0.3257
Bi 0.0662 0.9932 0.6743
```